1.
# RbAg2As3Se6 (PBE, relaxed)
data_RbAg2As3Se6
_chemical_formula_sum 'Rb4 Ag8 As12 Se24'
_space_group_name_H-M_alt 'P 1 21/c 1'
_space_group_IT_number 14
_space_group_name_Hall '-P 2ybc'
_cell_length_a 10.168
_cell_length_b 7.823
_cell_length_c 20.310
_cell_angle_alpha 90.00
_cell_angle_beta 119.75
_cell_angle_gamma 90.00
loop_
_atom_site_label
_atom_site_type_symbol
_atom_site_fract_x
_atom_site_fract_y
_atom_site_fract_z
_atom_site_occupancy
Rb1 Rb 0.161 0.175 0.168 1
Ag1 Ag 0.350 0.015 0.001 1
Ag2 Ag 0.452 0.038 0.419 1
As1 As 0.046 0.150 0.353 1
As2 As 0.213 0.618 0.081 1
As3 As 0.347 0.630 0.277 1
Se1 Se 0.013 0.204 0.951 1
Se2 Se 0.134 0.697 0.764 1
Se3 Se 0.267 0.695 0.983 1
Se4 Se 0.268 0.202 0.872 1
Se5 Se 0.410 0.720 0.689 1
Se6 Se 0.454 0.250 0.108 1
# Formation enthalpy at 0 K   -0.53 eV per atom
# MP2020-corrected energy   -3.998 eV per atom
# Raw total energy   -180.57 eV per cell

2.
# AgAsRu2 (PBE, relaxed)
data_AgAsRu2
_chemical_formula_sum 'Ag4 As4 Ru8'
_space_group_name_H-M_alt 'F -4 3 m'
_space_group_IT_number 216
_space_group_name_Hall 'F -4 2 3'
_cell_length_a 6.308
_cell_length_b 6.308
_cell_length_c 6.308
_cell_angle_alpha 90.00
_cell_angle_beta 90.00
_cell_angle_gamma 90.00
loop_
_atom_site_label
_atom_site_type_symbol
_atom_site_fract_x
_atom_site_fract_y
_atom_site_fract_z
_atom_site_occupancy
Ag1 Ag 0.000 0.000 0.000 1
As1 As 0.250 0.250 0.750 1
Ru1 Ru 0.000 0.000 0.500 1
Ru2 Ru 0.250 0.250 0.250 1
# Formation enthalpy at 0 K   0.52 eV per atom
# Raw total energy   -95.91 eV per cell
# Total magnetic moment   0.002 μB/atom

3.
# Ag3AsS3 (PBE, relaxed)
data_Ag3AsS3
_chemical_formula_sum 'Ag12 As4 S12'
_space_group_name_H-M_alt 'C 1 c 1'
_space_group_IT_number 9
_space_group_name_Hall 'C -2yc'
_cell_length_a 5.317
_cell_length_b 19.967
_cell_length_c 6.425
_cell_angle_alpha 90.00
_cell_angle_beta 92.47
_cell_angle_gamma 90.00
loop_
_atom_site_label
_atom_site_type_symbol
_atom_site_fract_x
_atom_site_fract_y
_atom_site_fract_z
_atom_site_occupancy
Ag1 Ag 0.000 0.080 0.000 1
Ag2 Ag 0.244 0.332 0.771 1
Ag3 Ag 0.358 0.292 0.296 1
As1 As 0.030 0.447 0.746 1
S1 S 0.256 0.473 0.047 1
S2 S 0.264 0.148 0.777 1
S3 S 0.443 0.232 0.927 1
# Distance to the lowest polymorph of the same formula   0.181 eV per atom
# Formation enthalpy at 0 K   -0.13 eV per atom
# MP2020-corrected energy   -3.787 eV per atom
# Raw total energy   -99.99 eV per cell
# Total magnetic moment   0.000 μB/atom

4.
# Ag3AsS3 (PBE, relaxed)
data_Ag3AsS3
_chemical_formula_sum 'Ag18 As6 S18'
_space_group_name_H-M_alt 'R 3 c'
_space_group_IT_number 161
_space_group_name_Hall 'R 3 -2"c'
_cell_length_a 11.6518
_cell_length_b 11.6518
_cell_length_c 8.6965
_cell_angle_alpha 90.00
_cell_angle_beta 90.00
_cell_angle_gamma 120.00
loop_
_atom_site_label
_atom_site_type_symbol
_atom_site_fract_x
_atom_site_fract_y
_atom_site_fract_z
_atom_site_occupancy
Ag1 Ag 0.1323 0.3564 0.0000 1
As1 As 0.0000 0.0000 0.1873 1
S1 S 0.1939 0.4631 0.7445 1
# Distance to the lowest polymorph of the same formula   0.021 eV per atom
# Formation enthalpy at 0 K   -0.29 eV per atom
# MP2020-corrected energy   -3.947 eV per atom
# Raw total energy   -156.71 eV per cell
# Total magnetic moment   0.000 μB/atom

5.
# Ag3AsS3 (PBE, relaxed)
data_Ag3AsS3
_chemical_formula_sum 'Ag24 As8 S24'
_space_group_name_H-M_alt 'C 1 2/c 1'
_space_group_IT_number 15
_space_group_name_Hall '-C 2yc'
_cell_length_a 12.190
_cell_length_b 6.409
_cell_length_c 17.215
_cell_angle_alpha 90.00
_cell_angle_beta 110.19
_cell_angle_gamma 90.00
loop_
_atom_site_label
_atom_site_type_symbol
_atom_site_fract_x
_atom_site_fract_y
_atom_site_fract_z
_atom_site_occupancy
Ag1 Ag 0.065 0.076 0.438 1
Ag2 Ag 0.137 0.032 0.715 1
Ag3 Ag 0.141 0.458 0.366 1
As1 As 0.144 0.446 0.072 1
S1 S 0.071 0.354 0.173 1
S2 S 0.155 0.191 0.586 1
S3 S 0.165 0.144 0.859 1
# Distance to the lowest polymorph of the same formula   0.000 eV per atom
# Formation enthalpy at 0 K   -0.32 eV per atom
# MP2020-corrected energy   -3.968 eV per atom
# Raw total energy   -210.12 eV per cell

6.
# Ag3AsS3 (PBE, relaxed)
data_Ag3AsS3
_chemical_formula_sum 'Ag18 As6 S18'
_space_group_name_H-M_alt 'R 3 c'
_space_group_IT_number 161
_space_group_name_Hall 'R 3 -2"c'
_cell_length_a 10.7648
_cell_length_b 10.7648
_cell_length_c 9.5834
_cell_angle_alpha 90.00
_cell_angle_beta 90.00
_cell_angle_gamma 120.00
loop_
_atom_site_label
_atom_site_type_symbol
_atom_site_fract_x
_atom_site_fract_y
_atom_site_fract_z
_atom_site_occupancy
Ag1 Ag 0.0356 0.4106 0.0000 1
As1 As 0.0000 0.0000 0.1113 1
S1 S 0.2179 0.1059 0.9970 1
# Largest piezoelectric modulus   0.4 C/m2
# Distance to the lowest polymorph of the same formula   0.002 eV per atom
# Formation enthalpy at 0 K   -0.31 eV per atom
# MP2020-corrected energy   -3.966 eV per atom
# Raw total energy   -157.51 eV per cell

7.
# Ag8Sb5As3S16 (PBE, relaxed)
data_Ag8Sb5As3S16
_chemical_formula_sum 'Ag8 Sb5 As3 S16'
_space_group_name_H-M_alt 'P 1'
_space_group_IT_number 1
_space_group_name_Hall 'P 1'
_cell_length_a 5.974
_cell_length_b 8.812
_cell_length_c 13.715
_cell_angle_alpha 95.73
_cell_angle_beta 90.35
_cell_angle_gamma 90.09
loop_
_atom_site_label
_atom_site_type_symbol
_atom_site_fract_x
_atom_site_fract_y
_atom_site_fract_z
_atom_site_occupancy
Ag1 Ag 0.000 0.000 0.000 1
Ag2 Ag 0.000 0.498 0.501 1
Ag3 Ag 0.020 0.592 0.134 1
Ag4 Ag 0.480 0.547 0.286 1
Ag5 Ag 0.497 0.646 0.923 1
Ag6 Ag 0.500 0.146 0.423 1
Ag7 Ag 0.517 0.047 0.787 1
Ag8 Ag 0.979 0.094 0.635 1
Sb1 Sb 0.031 0.356 0.854 1
Sb2 Sb 0.471 0.786 0.571 1
Sb3 Sb 0.521 0.905 0.173 1
Sb4 Sb 0.536 0.293 0.063 1
Sb5 Sb 0.964 0.854 0.354 1
As1 As 0.008 0.744 0.757 1
As2 As 0.490 0.397 0.664 1
As3 As 0.988 0.244 0.258 1
S1 S 0.059 0.637 0.905 1
S2 S 0.087 0.988 0.816 1
S3 S 0.107 0.885 0.160 1
S4 S 0.116 0.328 0.041 1
S5 S 0.372 0.257 0.267 1
S6 S 0.379 0.812 0.380 1
S7 S 0.409 0.152 0.605 1
S8 S 0.438 0.506 0.517 1
S9 S 0.558 0.013 0.010 1
S10 S 0.590 0.639 0.105 1
S11 S 0.614 0.319 0.877 1
S12 S 0.623 0.757 0.766 1
S13 S 0.874 0.383 0.656 1
S14 S 0.883 0.828 0.544 1
S15 S 0.910 0.488 0.318 1
S16 S 0.937 0.135 0.405 1
# Formation enthalpy at 0 K   -0.40 eV per atom
# MP2020-corrected energy   -4.255 eV per atom
# Raw total energy   -128.11 eV per cell
# Total magnetic moment   0.000 μB/atom

8.
# Tl3Ag3As2S6 (PBE, relaxed)
data_Tl3Ag3As2S6
_chemical_formula_sum 'Tl12 Ag12 As8 S24'
_space_group_name_H-M_alt 'P 1 21/c 1'
_space_group_IT_number 14
_space_group_name_Hall '-P 2ybc'
_cell_length_a 11.364
_cell_length_b 12.010
_cell_length_c 12.128
_cell_angle_alpha 90.00
_cell_angle_beta 120.25
_cell_angle_gamma 90.00
loop_
_atom_site_label
_atom_site_type_symbol
_atom_site_fract_x
_atom_site_fract_y
_atom_site_fract_z
_atom_site_occupancy
Tl1 Tl 0.162 0.247 0.227 1
Tl2 Tl 0.200 0.515 0.477 1
Tl3 Tl 0.216 0.616 0.113 1
Ag1 Ag 0.114 0.153 0.429 1
Ag2 Ag 0.467 0.625 0.046 1
Ag3 Ag 0.470 0.641 0.427 1
As1 As 0.158 0.597 0.756 1
As2 As 0.494 0.144 0.744 1
S1 S 0.005 0.677 0.562 1
S2 S 0.006 0.532 0.812 1
S3 S 0.255 0.745 0.891 1
S4 S 0.363 0.084 0.537 1
S5 S 0.379 0.076 0.840 1
S6 S 0.426 0.175 0.216 1
# Formation enthalpy at 0 K   -0.44 eV per atom
# MP2020-corrected energy   -3.992 eV per atom
# Raw total energy   -211.48 eV per cell
# Total magnetic moment   0.000 μB/atom

9.
# Ag3AsSe3 (PBE, relaxed)
data_Ag3AsSe3
_chemical_formula_sum 'Ag18 As6 Se18'
_space_group_name_H-M_alt 'R 3 c'
_space_group_IT_number 161
_space_group_name_Hall 'R 3 -2"c'
_cell_length_a 11.4621
_cell_length_b 11.4621
_cell_length_c 9.3056
_cell_angle_alpha 90.00
_cell_angle_beta 90.00
_cell_angle_gamma 120.00
loop_
_atom_site_label
_atom_site_type_symbol
_atom_site_fract_x
_atom_site_fract_y
_atom_site_fract_z
_atom_site_occupancy
Ag1 Ag 0.0706 0.3622 0.0000 1
As1 As 0.0000 0.0000 0.0484 1
Se1 Se 0.0991 0.2169 0.6760 1
# Distance to the lowest polymorph of the same formula   0.012 eV per atom
# Formation enthalpy at 0 K   -0.30 eV per atom
# MP2020-corrected energy   -3.675 eV per atom
# Raw total energy   -145.84 eV per cell
# Total magnetic moment   0.000 μB/atom

10.
# Ag3AsSe3 (PBE, relaxed)
data_Ag3AsSe3
_chemical_formula_sum 'Ag36 As12 Se36'
_space_group_name_H-M_alt 'P n m a'
_space_group_IT_number 62
_space_group_name_Hall '-P 2ac 2n'
_cell_length_a 8.238
_cell_length_b 11.503
_cell_length_c 21.106
_cell_angle_alpha 90.00
_cell_angle_beta 90.00
_cell_angle_gamma 90.00
loop_
_atom_site_label
_atom_site_type_symbol
_atom_site_fract_x
_atom_site_fract_y
_atom_site_fract_z
_atom_site_occupancy
Ag1 Ag 0.123 0.035 0.060 1
Ag2 Ag 0.144 0.517 0.677 1
Ag3 Ag 0.168 0.610 0.284 1
Ag4 Ag 0.214 0.071 0.443 1
Ag5 Ag 0.225 0.250 0.131 1
As1 As 0.213 0.250 0.294 1
As2 As 0.219 0.250 0.946 1
As3 As 0.247 0.250 0.608 1
Se1 Se 0.014 0.250 0.032 1
Se2 Se 0.050 0.250 0.390 1
Se3 Se 0.083 0.096 0.231 1
Se4 Se 0.102 0.083 0.563 1
Se5 Se 0.113 0.250 0.712 1
Se6 Se 0.121 0.089 0.881 1
# Distance to the lowest polymorph of the same formula   0.000 eV per atom
# Formation enthalpy at 0 K   -0.31 eV per atom
# MP2020-corrected energy   -3.686 eV per atom
# Raw total energy   -292.65 eV per cell
# Total magnetic moment   0.000 μB/atom

11.
# AgAsSe (PBE, relaxed)
data_AgAsSe
_chemical_formula_sum 'Ag4 As4 Se4'
_space_group_name_H-M_alt 'P n m a'
_space_group_IT_number 62
_space_group_name_Hall '-P 2ac 2n'
_cell_length_a 12.529
_cell_length_b 4.056
_cell_length_c 6.266
_cell_angle_alpha 90.00
_cell_angle_beta 90.00
_cell_angle_gamma 90.00
loop_
_atom_site_label
_atom_site_type_symbol
_atom_site_fract_x
_atom_site_fract_y
_atom_site_fract_z
_atom_site_occupancy
Ag1 Ag 0.158 0.250 0.078 1
As1 As 0.011 0.250 0.371 1
Se1 Se 0.160 0.750 0.802 1
# Formation enthalpy at 0 K   -0.23 eV per atom
# MP2020-corrected energy   -3.889 eV per atom
# Raw total energy   -44.78 eV per cell
# Total magnetic moment   0.000 μB/atom

12.
# SrAgAs (PBE, relaxed)
data_SrAgAs
_chemical_formula_sum 'Sr2 Ag2 As2'
_space_group_name_H-M_alt 'P 63/m m c'
_space_group_IT_number 194
_space_group_name_Hall '-P 6c 2c'
_cell_length_a 4.5772
_cell_length_b 4.5772
_cell_length_c 8.4716
_cell_angle_alpha 90.00
_cell_angle_beta 90.00
_cell_angle_gamma 120.00
loop_
_atom_site_label
_atom_site_type_symbol
_atom_site_fract_x
_atom_site_fract_y
_atom_site_fract_z
_atom_site_occupancy
Sr1 Sr 0.0000 0.0000 0.0000 1
Ag1 Ag 0.3333 0.6667 0.2500 1
As1 As 0.3333 0.6667 0.7500 1
# Formation enthalpy at 0 K   -0.79 eV per atom
# Raw total energy   -23.10 eV per cell